## YTmO3 (r²SCAN)

Data for a geometry-optimized YTmO3 structure.

Geometry as POSCAR:
```
YTmO3
1.0
7.420 -5.248 0.000
7.420 5.248 0.000
-7.420 0.000 7.421
Y Tm O
8 8 24
Direct
0.000 0.000 0.000
0.032 0.467 0.749
0.035 0.469 0.254
0.283 0.217 0.032
0.501 0.499 0.000
0.531 0.965 0.746
0.533 0.968 0.251
0.783 0.717 0.968
0.065 0.935 0.500
0.251 0.686 0.219
0.283 0.217 0.532
0.314 0.749 0.781
0.566 0.434 0.500
0.749 0.184 0.715
0.783 0.717 0.468
0.816 0.251 0.285
0.021 0.194 0.508
0.047 0.738 0.993
0.063 0.699 0.524
0.077 0.228 0.285
0.261 0.498 0.734
0.262 0.953 0.007
0.272 0.427 0.980
0.291 0.008 0.778
0.301 0.937 0.476
0.307 0.481 0.296
0.489 0.209 0.480
0.502 0.739 0.266
0.519 0.693 0.704
0.544 0.237 0.789
0.568 0.198 0.242
0.573 0.728 0.020
0.759 0.002 0.023
0.763 0.456 0.211
0.772 0.923 0.715
0.791 0.511 0.520
0.802 0.432 0.758
0.806 0.979 0.492
0.992 0.709 0.222
0.998 0.241 0.977
```

Properties
**Crystal system**: monoclinic
**Electronic total energy**: -93.16 eV per formula unit


## Y5Tm11O24 (r²SCAN)

Data for a geometry-optimized Y5Tm11O24 structure.

Geometry as POSCAR:
```
Y5Tm11O24
1.0
7.387 -5.226 0.000
7.387 5.226 0.000
-7.386 0.000 7.393
Y Tm O
5 11 24
Direct
0.000 0.000 0.000
0.467 0.031 0.749
0.470 0.031 0.251
0.969 0.530 0.749
0.969 0.533 0.251
0.187 0.748 0.218
0.219 0.282 0.469
0.219 0.282 0.968
0.252 0.813 0.782
0.436 0.564 0.500
0.501 0.499 0.000
0.686 0.250 0.718
0.718 0.781 0.032
0.718 0.781 0.531
0.750 0.314 0.282
0.937 0.063 0.500
0.012 0.289 0.520
0.195 0.019 0.706
0.200 0.563 0.524
0.211 0.488 0.219
0.230 0.075 0.021
0.241 0.001 0.266
0.242 0.544 0.992
0.425 0.275 0.719
0.437 0.800 0.476
0.456 0.758 0.008
0.481 0.305 0.492
0.500 0.261 0.023
0.512 0.789 0.781
0.695 0.519 0.508
0.699 0.062 0.237
0.711 0.988 0.480
0.725 0.575 0.281
0.738 0.044 0.790
0.739 0.500 0.977
0.925 0.770 0.979
0.938 0.301 0.763
0.956 0.262 0.210
0.981 0.805 0.294
0.999 0.759 0.734
```

Properties
**Crystal system**: monoclinic
**Electronic total energy**: -790.65 eV per formula unit


## Y15TmO24 (r²SCAN)

Data for a geometry-optimized Y15TmO24 structure.

Geometry as POSCAR:
```
Y15TmO24
1.0
7.487 -5.296 0.000
7.487 5.296 0.000
-7.485 0.000 7.494
Y Tm O
15 1 24
Direct
0.000 0.000 0.000
0.186 0.250 0.968
0.218 0.782 0.250
0.218 0.782 0.750
0.250 0.316 0.532
0.467 0.034 0.283
0.468 0.032 0.782
0.500 0.500 0.000
0.684 0.750 0.468
0.716 0.283 0.250
0.717 0.284 0.750
0.750 0.814 0.032
0.935 0.065 0.500
0.966 0.533 0.717
0.968 0.532 0.218
0.434 0.566 0.500
0.178 0.544 0.480
0.186 0.011 0.708
0.207 0.053 0.282
0.232 0.511 0.222
0.249 0.554 0.792
0.260 0.021 0.021
0.446 0.751 0.208
0.447 0.293 0.021
0.456 0.822 0.520
0.478 0.239 0.738
0.489 0.318 0.511
0.489 0.768 0.778
0.675 0.043 0.239
0.682 0.511 0.489
0.707 0.553 0.979
0.728 0.012 0.522
0.749 0.054 0.011
0.761 0.522 0.262
0.946 0.251 0.989
0.947 0.793 0.718
0.957 0.325 0.761
0.979 0.740 0.979
0.988 0.272 0.478
0.989 0.814 0.292
```

Properties
**Crystal system**: monoclinic
**Electronic total energy**: -639.57 eV per formula unit


## Y11Tm5O24 (r²SCAN)

Data for a geometry-optimized Y11Tm5O24 structure.

Geometry as POSCAR:
```
Y11Tm5O24
1.0
9.122 0.000 0.000
-3.034 8.603 0.000
-3.039 -4.293 7.454
Y Tm O
11 5 24
Direct
0.000 0.000 0.000
0.001 0.502 0.504
0.250 0.282 0.536
0.282 0.533 0.251
0.468 0.752 0.721
0.500 0.500 0.003
0.502 0.001 0.503
0.532 0.250 0.282
0.720 0.468 0.753
0.783 0.033 0.252
0.969 0.750 0.221
0.033 0.250 0.785
0.217 0.968 0.753
0.250 0.783 0.034
0.750 0.217 0.968
0.752 0.720 0.470
0.013 0.744 0.475
0.030 0.271 0.042
0.043 0.032 0.273
0.228 0.490 0.460
0.231 0.762 0.273
0.240 0.732 0.776
0.257 0.531 0.987
0.270 0.227 0.765
0.271 0.041 0.030
0.459 0.229 0.491
0.469 0.015 0.745
0.491 0.461 0.232
0.513 0.544 0.775
0.528 0.986 0.258
0.547 0.773 0.514
0.729 0.771 0.245
0.730 0.961 0.970
0.740 0.466 0.013
0.762 0.273 0.229
0.771 0.515 0.544
0.774 0.238 0.732
0.958 0.969 0.728
0.972 0.730 0.960
0.988 0.261 0.537
```

Properties
**Crystal system**: triclinic
**Electronic total energy**: -699.96 eV per formula unit


## Y13Tm3O24 (r²SCAN)

Data for a geometry-optimized Y13Tm3O24 structure.

Geometry as POSCAR:
```
Y13Tm3O24
1.0
9.143 0.000 0.000
-3.041 8.628 0.000
-3.048 -4.310 7.476
Y Tm O
13 3 24
Direct
0.000 0.000 0.000
0.000 0.498 0.501
0.034 0.716 0.250
0.217 0.184 0.468
0.249 0.966 0.718
0.282 0.747 0.968
0.467 0.217 0.186
0.500 0.433 0.935
0.501 0.934 0.436
0.533 0.715 0.750
0.716 0.683 0.468
0.751 0.967 0.219
0.785 0.250 0.967
0.250 0.466 0.217
0.751 0.466 0.718
0.967 0.218 0.685
0.014 0.455 0.250
0.018 0.496 0.760
0.025 0.231 0.946
0.208 0.956 0.947
0.215 0.206 0.729
0.240 0.691 0.176
0.259 0.242 0.260
0.281 0.726 0.707
0.293 0.977 0.490
0.475 0.701 0.486
0.482 0.433 0.675
0.486 0.477 0.186
0.512 0.695 0.990
0.521 0.008 0.229
0.521 0.195 0.957
0.710 0.198 0.685
0.717 0.423 0.450
0.739 0.998 0.978
0.764 0.938 0.462
0.783 0.509 0.986
0.793 0.734 0.751
0.978 0.736 0.477
0.979 0.924 0.207
0.988 0.237 0.449
```

Properties
**Crystal system**: triclinic
**Electronic total energy**: -669.77 eV per formula unit


## YbTmO3 (r²SCAN)

Data for a geometry-optimized YbTmO3 structure.

Geometry as POSCAR:
```
YbTmO3
1.0
4.170 0.000 0.000
0.000 4.170 0.000
0.000 0.000 4.170
Yb Tm O
1 1 3
Direct
0.000 0.000 0.000
0.500 0.500 0.500
0.000 0.500 0.500
0.500 0.000 0.500
0.500 0.500 0.000
```

Properties
**Crystal system**: cubic
**Electronic total energy**: -104.46 eV per formula unit


## Tm4Zr3O12 (r²SCAN)

Data for a geometry-optimized Tm4Zr3O12 structure.

Geometry as POSCAR:
```
Tm4Zr3O12
1.0
6.297 0.000 0.000
-1.036 6.265 0.000
-2.056 -2.414 12.236
Tm Zr O
8 6 24
Direct
0.110 0.136 0.403
0.189 0.391 0.682
0.200 0.389 0.181
0.359 0.691 0.947
0.641 0.309 0.053
0.800 0.611 0.819
0.811 0.609 0.318
0.890 0.864 0.597
0.108 0.144 0.906
0.355 0.678 0.446
0.493 0.994 0.748
0.507 0.006 0.252
0.645 0.322 0.554
0.892 0.856 0.094
0.069 0.829 0.962
0.073 0.418 0.842
0.087 0.820 0.462
0.089 0.431 0.342
0.179 0.058 0.714
0.182 0.041 0.205
0.316 0.410 0.031
0.326 0.425 0.535
0.423 0.691 0.290
0.425 0.681 0.779
0.427 0.079 0.907
0.461 0.102 0.411
0.539 0.898 0.589
0.573 0.921 0.093
0.575 0.319 0.221
0.577 0.309 0.710
0.674 0.575 0.465
0.684 0.590 0.969
0.818 0.959 0.795
0.821 0.942 0.286
0.911 0.569 0.658
0.913 0.180 0.538
0.927 0.582 0.158
0.931 0.171 0.038
```

Properties
**Crystal system**: triclinic
**Energy above the lowest structure with this stoichiometry**: 0.003 eV per atom


## Tm4Zr3O12 (r²SCAN)

Data for a geometry-optimized Tm4Zr3O12 structure.

Geometry as POSCAR:
```
Tm4Zr3O12
1.0
6.264 0.000 0.000
-1.034 6.211 0.000
-0.994 -1.278 6.236
Tm Zr O
4 3 12
Direct
0.111 0.301 0.135
0.194 0.865 0.390
0.806 0.135 0.610
0.889 0.699 0.865
0.350 0.395 0.674
0.500 0.000 0.000
0.650 0.605 0.326
0.084 0.186 0.432
0.084 0.418 0.822
0.184 0.930 0.060
0.326 0.571 0.425
0.420 0.081 0.689
0.467 0.323 0.109
0.533 0.677 0.891
0.580 0.919 0.311
0.674 0.429 0.575
0.816 0.070 0.940
0.916 0.582 0.178
0.916 0.814 0.568
```

Properties
**Crystal system**: triclinic
**Energy above the lowest structure with this stoichiometry**: 0.000 eV per atom


## UO3 (r²SCAN)

Data for a geometry-optimized UO3 structure.

Geometry as POSCAR:
```
UO3
1.0
4.135 0.000 0.000
0.000 4.135 0.000
0.000 0.000 4.135
U O
1 3
Direct
0.000 0.000 0.000
0.000 0.000 0.500
0.000 0.500 0.000
0.500 0.000 0.000
```

Properties
**Crystal system**: cubic
**Electronic total energy**: -111.04 eV per formula unit


## YU2O6 (r²SCAN)

Data for a geometry-optimized YU2O6 structure.

Geometry as POSCAR:
```
YU2O6
1.0
-1.905 2.698 5.659
1.905 -2.698 5.659
1.905 2.698 -5.659
Y U O
1 2 6
Direct
0.000 0.000 0.000
0.335 0.335 0.000
0.665 0.665 0.000
0.083 0.830 0.253
0.256 0.500 0.756
0.423 0.170 0.253
0.577 0.830 0.747
0.744 0.500 0.244
0.917 0.170 0.747
```

Properties
**Crystal system**: orthorhombic
**Electronic total energy**: -250.17 eV per formula unit


## Y9U5O28 (r²SCAN)

Data for a geometry-optimized Y9U5O28 structure.

Geometry as POSCAR:
```
Y9U5O28
1.0
6.498 0.000 0.000
2.088 7.198 0.000
1.987 3.058 11.224
Y U O
9 5 28
Direct
0.000 0.000 0.000
0.141 0.357 0.717
0.144 0.857 0.714
0.282 0.215 0.431
0.431 0.569 0.144
0.569 0.431 0.856
0.718 0.785 0.569
0.856 0.143 0.286
0.859 0.643 0.283
0.000 0.500 0.000
0.280 0.715 0.431
0.430 0.072 0.145
0.570 0.928 0.855
0.720 0.285 0.569
0.060 0.179 0.607
0.077 0.671 0.097
0.079 0.675 0.601
0.094 0.173 0.112
0.207 0.539 0.833
0.219 0.025 0.321
0.224 0.545 0.329
0.233 0.028 0.828
0.355 0.882 0.528
0.368 0.371 0.041
0.368 0.899 0.041
0.369 0.400 0.538
0.490 0.239 0.250
0.492 0.762 0.255
0.508 0.238 0.745
0.510 0.761 0.750
0.631 0.600 0.462
0.632 0.101 0.959
0.632 0.629 0.959
0.645 0.118 0.472
0.767 0.972 0.172
0.776 0.455 0.671
0.781 0.975 0.679
0.793 0.461 0.167
0.906 0.827 0.888
0.921 0.325 0.399
0.923 0.329 0.903
0.940 0.821 0.393
```

Properties
**Crystal system**: triclinic
**Electronic total energy**: -909.34 eV per formula unit


## Y3U2O10 (r²SCAN)

Data for a geometry-optimized Y3U2O10 structure.

Geometry as POSCAR:
```
Y3U2O10
1.0
5.843 -2.661 0.000
5.843 2.661 0.000
-5.678 0.000 6.051
Y U O
3 2 10
Direct
0.000 0.000 0.000
0.398 0.398 0.597
0.602 0.602 0.403
0.197 0.197 0.794
0.803 0.803 0.206
0.054 0.538 0.709
0.144 0.646 0.106
0.234 0.766 0.500
0.354 0.856 0.894
0.462 0.946 0.291
0.538 0.054 0.709
0.646 0.144 0.106
0.766 0.234 0.500
0.856 0.354 0.894
0.946 0.462 0.291
```

Properties
**Crystal system**: monoclinic
**Electronic total energy**: -337.69 eV per formula unit